First-principles (PBE) data for a relaxed BaPaO3 crystal, as listed in the Materials Project.

- VASP energy (Ry per atom) = -0.618
- space-group type = Pm-3m

a = 4.511 Å, b = 4.511 Å, c = 4.511 Å
α = 90.00°, β = 90.00°, γ = 90.00°
Sites, in units of the cell vectors:
Ba: 0.000 0.000 0.000
Pa: 0.500 0.500 0.500
O: 0.000 0.500 0.500
O: 0.500 0.000 0.500
O: 0.500 0.500 0.000

---

First-principles (PBE) data for a relaxed Ba2PrPaO6 crystal, as listed in the Materials Project.

- VASP energy (Ry per atom) = -0.588
- M_tot (Bohr magnetons per cell) = 0.00
- space-group type = Fm-3m

a = 6.415 Å, b = 6.415 Å, c = 6.415 Å
α = 60.00°, β = 60.00°, γ = 60.00°
Sites, in units of the cell vectors:
Ba: 0.250 0.250 0.250
Ba: 0.750 0.750 0.750
Pr: 0.000 0.000 0.000
Pa: 0.500 0.500 0.500
O: 0.260 0.260 0.740
O: 0.260 0.740 0.260
O: 0.260 0.740 0.740
O: 0.740 0.260 0.260
O: 0.740 0.260 0.740
O: 0.740 0.740 0.260

---

First-principles (PBE) data for a relaxed Ba2TmPaO6 crystal, as listed in the Materials Project.

- VASP energy (Ry per atom) = -0.597
- M_tot (Bohr magnetons per cell) = 0.00
- space-group type = Fm-3m

a = 6.228 Å, b = 6.228 Å, c = 6.228 Å
α = 60.00°, β = 60.00°, γ = 60.00°
Sites, in units of the cell vectors:
Ba: 0.250 0.250 0.250
Ba: 0.750 0.750 0.750
Tm: 0.000 0.000 0.000
Pa: 0.500 0.500 0.500
O: 0.252 0.252 0.748
O: 0.252 0.748 0.252
O: 0.252 0.748 0.748
O: 0.748 0.252 0.252
O: 0.748 0.252 0.748
O: 0.748 0.748 0.252

---

First-principles (PBE) data for a relaxed Ba2YPaO6 crystal, as listed in the Materials Project.

- VASP energy (Ry per atom) = -0.608
- space-group type = Fm-3m

a = 6.273 Å, b = 6.273 Å, c = 6.273 Å
α = 60.00°, β = 60.00°, γ = 60.00°
Sites, in units of the cell vectors:
Ba: 0.250 0.250 0.250
Ba: 0.750 0.750 0.750
Y: 0.000 0.000 0.000
Pa: 0.500 0.500 0.500
O: 0.254 0.254 0.746
O: 0.254 0.746 0.254
O: 0.254 0.746 0.746
O: 0.746 0.254 0.254
O: 0.746 0.254 0.746
O: 0.746 0.746 0.254

---

First-principles (PBE) data for a relaxed Ba7Pb17O24 crystal, as listed in the Materials Project.

- VASP energy (Ry per atom) = -0.413
- M_tot (Bohr magnetons per cell) = 0.02
- space-group type = Pm

a = 7.934 Å, b = 19.089 Å, c = 8.025 Å
α = 90.00°, β = 118.90°, γ = 90.00°
Sites, in units of the cell vectors:
Ba: 0.000 0.000 0.000
Ba: 0.000 0.331 0.009
Ba: 0.000 0.669 0.009
Ba: 0.666 0.500 0.302
Ba: 0.668 0.500 0.794
Ba: 0.669 0.166 0.335
Ba: 0.669 0.834 0.335
Pb: 0.144 0.500 0.813
Pb: 0.152 0.167 0.828
Pb: 0.152 0.833 0.828
Pb: 0.165 0.165 0.318
Pb: 0.165 0.500 0.311
Pb: 0.165 0.835 0.318
Pb: 0.494 0.000 0.484
Pb: 0.497 0.330 0.488
Pb: 0.497 0.670 0.488
Pb: 0.516 0.000 0.019
Pb: 0.519 0.330 0.020
Pb: 0.519 0.670 0.020
Pb: 0.682 0.166 0.851
Pb: 0.682 0.834 0.851
Pb: 0.985 0.334 0.510
Pb: 0.985 0.666 0.510
Pb: 0.988 0.000 0.506
O: 0.003 0.166 0.001
O: 0.003 0.834 0.001
O: 0.023 0.500 0.005
O: 0.327 0.250 0.271
O: 0.327 0.750 0.271
O: 0.335 0.083 0.270
O: 0.335 0.917 0.270
O: 0.354 0.418 0.294
O: 0.354 0.582 0.294
O: 0.668 0.327 0.338
O: 0.668 0.673 0.338
O: 0.669 0.000 0.336
O: 0.725 0.412 0.053
O: 0.725 0.588 0.053
O: 0.731 0.082 0.063
O: 0.731 0.918 0.063
O: 0.734 0.247 0.068
O: 0.734 0.753 0.068
O: 0.918 0.419 0.664
O: 0.918 0.581 0.664
O: 0.936 0.084 0.668
O: 0.936 0.916 0.668
O: 0.938 0.250 0.674
O: 0.938 0.750 0.674

---

First-principles (PBE) data for a relaxed Ba3PbO crystal, as listed in the Materials Project.

- VASP energy (Ry per atom) = -0.312
- space-group type = Pm-3m

a = 5.553 Å, b = 5.553 Å, c = 5.553 Å
α = 90.00°, β = 90.00°, γ = 90.00°
Sites, in units of the cell vectors:
Ba: 0.000 0.000 0.500
Ba: 0.000 0.500 0.000
Ba: 0.500 0.000 0.000
Pb: 0.500 0.500 0.500
O: 0.000 0.000 0.000

---

First-principles (PBE) data for a relaxed BaPb3O4 crystal, as listed in the Materials Project.

- VASP energy (Ry per atom) = -0.412
- space-group type = P-62c

a = 8.004 Å, b = 8.004 Å, c = 6.345 Å
α = 90.00°, β = 90.00°, γ = 120.00°
Sites, in units of the cell vectors:
Ba: 0.333 0.667 0.250
Ba: 0.667 0.333 0.750
Pb: 0.166 0.345 0.750
Pb: 0.179 0.834 0.750
Pb: 0.345 0.166 0.250
Pb: 0.655 0.821 0.750
Pb: 0.821 0.655 0.250
Pb: 0.834 0.179 0.250
O: 0.000 0.392 0.000
O: 0.000 0.392 0.500
O: 0.333 0.667 0.750
O: 0.392 0.000 0.000
O: 0.392 0.000 0.500
O: 0.608 0.608 0.000
O: 0.608 0.608 0.500
O: 0.667 0.333 0.250

---

First-principles (PBE) data for a relaxed Ba2PuPbO6 crystal, as listed in the Materials Project.

- VASP energy (Ry per atom) = -0.553
- M_tot (Bohr magnetons per cell) = 0.00
- space-group type = Fm-3m

a = 6.324 Å, b = 6.324 Å, c = 6.324 Å
α = 60.00°, β = 60.00°, γ = 60.00°
Sites, in units of the cell vectors:
Ba: 0.250 0.250 0.250
Ba: 0.750 0.750 0.750
Pu: 0.000 0.000 0.000
Pb: 0.500 0.500 0.500
O: 0.230 0.230 0.770
O: 0.230 0.770 0.230
O: 0.230 0.770 0.770
O: 0.770 0.230 0.230
O: 0.770 0.230 0.770
O: 0.770 0.770 0.230

---

First-principles (PBE) data for a relaxed BaPb2S3O12 crystal, as listed in the Materials Project.

- VASP energy (Ry per atom) = -0.457
- M_tot (Bohr magnetons per cell) = 0.00
- space-group type = P1

a = 8.711 Å, b = 9.037 Å, c = 13.172 Å
α = 94.91°, β = 90.19°, γ = 90.27°
Sites, in units of the cell vectors:
Ba: 0.000 0.000 0.000
Ba: 0.000 0.333 0.668
Ba: 0.498 0.787 0.394
Ba: 0.999 0.665 0.333
Pb: 0.123 0.838 0.671
Pb: 0.124 0.173 0.336
Pb: 0.127 0.505 0.003
Pb: 0.505 0.114 0.058
Pb: 0.506 0.447 0.724
Pb: 0.621 0.613 0.058
Pb: 0.621 0.946 0.726
Pb: 0.622 0.282 0.389
S: 0.257 0.516 0.510
S: 0.257 0.851 0.175
S: 0.260 0.184 0.843
S: 0.381 0.106 0.554
S: 0.382 0.434 0.218
S: 0.382 0.770 0.886
S: 0.749 0.272 0.887
S: 0.751 0.603 0.554
S: 0.751 0.939 0.218
S: 0.880 0.349 0.175
S: 0.880 0.683 0.842
S: 0.882 0.017 0.509
O: 0.009 0.259 0.130
O: 0.009 0.593 0.797
O: 0.010 0.926 0.464
O: 0.129 0.421 0.464
O: 0.129 0.757 0.127
O: 0.130 0.091 0.796
O: 0.228 0.162 0.582
O: 0.229 0.827 0.914
O: 0.231 0.494 0.248
O: 0.236 0.671 0.480
O: 0.236 0.862 0.289
O: 0.244 0.005 0.141
O: 0.245 0.192 0.957
O: 0.245 0.339 0.810
O: 0.245 0.522 0.624
O: 0.397 0.278 0.251
O: 0.397 0.427 0.103
O: 0.399 0.098 0.439
O: 0.399 0.615 0.919
O: 0.399 0.950 0.586
O: 0.400 0.763 0.771
O: 0.409 0.460 0.478
O: 0.409 0.789 0.148
O: 0.411 0.122 0.812
O: 0.508 0.200 0.601
O: 0.509 0.865 0.933
O: 0.512 0.525 0.263
O: 0.627 0.368 0.935
O: 0.628 0.032 0.269
O: 0.628 0.701 0.600
O: 0.727 0.623 0.812
O: 0.728 0.117 0.919
O: 0.728 0.264 0.773
O: 0.728 0.289 0.145
O: 0.729 0.450 0.589
O: 0.729 0.934 0.105
O: 0.730 0.957 0.480
O: 0.735 0.591 0.440
O: 0.735 0.783 0.249
O: 0.895 0.357 0.290
O: 0.895 0.505 0.142
O: 0.895 0.691 0.957
O: 0.895 0.839 0.809
O: 0.898 0.025 0.624
O: 0.898 0.173 0.477
O: 0.906 0.325 0.913
O: 0.907 0.658 0.583
O: 0.907 0.995 0.245

---

First-principles (PBE) data for a relaxed BaPbS2O8 crystal, as listed in the Materials Project.

- VASP energy (Ry per atom) = -0.463
- M_tot (Bohr magnetons per cell) = 0.00
- space-group type = Pmc2_1

a = 5.510 Å, b = 7.157 Å, c = 8.780 Å
α = 90.00°, β = 90.00°, γ = 90.00°
Sites, in units of the cell vectors:
Ba: 0.000 0.089 0.000
Ba: 0.000 0.911 0.500
Pb: 0.500 0.416 0.372
Pb: 0.500 0.584 0.872
S: 0.000 0.438 0.620
S: 0.000 0.562 0.120
S: 0.500 0.062 0.748
S: 0.500 0.938 0.248
O: 0.000 0.300 0.492
O: 0.000 0.349 0.771
O: 0.000 0.651 0.271
O: 0.000 0.700 0.992
O: 0.223 0.440 0.105
O: 0.223 0.560 0.605
O: 0.281 0.061 0.264
O: 0.281 0.939 0.764
O: 0.500 0.151 0.595
O: 0.500 0.204 0.874
O: 0.500 0.796 0.374
O: 0.500 0.849 0.095
O: 0.719 0.061 0.264
O: 0.719 0.939 0.764
O: 0.777 0.440 0.105
O: 0.777 0.560 0.605

---

First-principles (PBE) data for a relaxed BaPb2S3O12 crystal, as listed in the Materials Project.

- VASP energy (Ry per atom) = -0.457
- M_tot (Bohr magnetons per cell) = 0.06
- space-group type = Pm

a = 7.121 Å, b = 5.518 Å, c = 26.122 Å
α = 90.00°, β = 90.17°, γ = 90.00°
Sites, in units of the cell vectors:
Ba: 0.000 0.000 0.000
Ba: 0.000 0.000 0.333
Ba: 0.000 0.000 0.666
Ba: 0.180 0.000 0.833
Pb: 0.171 0.000 0.168
Pb: 0.171 0.000 0.501
Pb: 0.507 0.500 0.042
Pb: 0.507 0.500 0.376
Pb: 0.508 0.500 0.709
Pb: 0.671 0.500 0.208
Pb: 0.671 0.500 0.541
Pb: 0.672 0.500 0.875
S: 0.026 0.500 0.085
S: 0.026 0.500 0.418
S: 0.026 0.500 0.751
S: 0.154 0.500 0.917
S: 0.156 0.500 0.250
S: 0.156 0.500 0.583
S: 0.524 0.000 0.293
S: 0.524 0.000 0.626
S: 0.526 0.000 0.960
S: 0.654 0.000 0.127
S: 0.654 0.000 0.460
S: 0.654 0.000 0.794
O: 0.030 0.281 0.912
O: 0.030 0.719 0.912
O: 0.033 0.280 0.243
O: 0.033 0.280 0.577
O: 0.033 0.720 0.243
O: 0.033 0.720 0.577
O: 0.149 0.280 0.080
O: 0.149 0.280 0.413
O: 0.149 0.281 0.745
O: 0.149 0.719 0.745
O: 0.149 0.720 0.080
O: 0.149 0.720 0.413
O: 0.240 0.500 0.301
O: 0.240 0.500 0.635
O: 0.243 0.500 0.969
O: 0.296 0.500 0.875
O: 0.299 0.500 0.208
O: 0.299 0.500 0.541
O: 0.388 0.000 0.336
O: 0.388 0.000 0.670
O: 0.389 0.000 0.003
O: 0.435 0.000 0.242
O: 0.435 0.000 0.576
O: 0.436 0.000 0.909
O: 0.531 0.222 0.799
O: 0.531 0.778 0.799
O: 0.532 0.222 0.133
O: 0.532 0.222 0.466
O: 0.532 0.778 0.133
O: 0.532 0.778 0.466
O: 0.648 0.222 0.298
O: 0.648 0.222 0.632
O: 0.648 0.222 0.965
O: 0.648 0.778 0.298
O: 0.648 0.778 0.632
O: 0.648 0.778 0.965
O: 0.741 0.000 0.076
O: 0.741 0.000 0.409
O: 0.743 0.000 0.743
O: 0.791 0.000 0.836
O: 0.796 0.000 0.169
O: 0.796 0.000 0.503
O: 0.883 0.500 0.708
O: 0.886 0.500 0.042
O: 0.886 0.500 0.375
O: 0.934 0.500 0.136
O: 0.934 0.500 0.469
O: 0.937 0.500 0.802

---

First-principles (PBE) data for a relaxed BaZr5Pb4O15 crystal, as listed in the Materials Project.

- VASP energy (Ry per atom) = -0.584
- M_tot (Bohr magnetons per cell) = 0.00
- space-group type = Cm

a = 4.250 Å, b = 4.250 Å, c = 21.220 Å
α = 90.54°, β = 90.54°, γ = 89.26°
Sites, in units of the cell vectors:
Ba: 0.000 0.000 0.000
Zr: 0.496 0.496 0.693
Zr: 0.497 0.497 0.294
Zr: 0.497 0.497 0.494
Zr: 0.499 0.499 0.894
Zr: 0.504 0.504 0.096
Pb: 0.937 0.937 0.802
Pb: 0.940 0.940 0.603
Pb: 0.941 0.941 0.404
Pb: 0.944 0.944 0.205
O: 0.014 0.520 0.087
O: 0.014 0.538 0.887
O: 0.017 0.543 0.287
O: 0.017 0.544 0.487
O: 0.017 0.545 0.687
O: 0.513 0.513 0.990
O: 0.520 0.014 0.087
O: 0.538 0.014 0.887
O: 0.542 0.542 0.193
O: 0.543 0.017 0.287
O: 0.543 0.543 0.790
O: 0.544 0.017 0.487
O: 0.544 0.544 0.392
O: 0.544 0.544 0.591
O: 0.545 0.017 0.687